Here is CeCoSi2Rh after structural relaxation from Materials Project. Energies are from PBE-GGA.

Lattice parameters (Å, degrees): 5.751 5.751 5.751 139.14 139.14 59.16
Atoms (fractional coordinates):
Si (0.625, 0.625, 0.000)
Rh (0.750, 0.250, 0.500)
Ce (0.000, 0.000, 0.000)
Co (0.250, 0.750, 0.500)
Si (0.375, 0.375, 0.000)

## Properties
Its space group is I-4m2 (119).

---

Here is Ce4CoS7 after structural relaxation from Materials Project. Energies are from PBE-GGA.

Lattice parameters (Å, degrees): 7.103 9.504 9.527 60.18 90.00 90.00
Atoms (fractional coordinates):
S (0.849, 0.123, 0.740)
Ce (0.232, 0.193, 0.167)
S (0.968, 0.526, 0.932)
S (0.345, 0.266, 0.858)
S (0.349, 0.877, 0.260)
Ce (0.707, 0.337, 0.317)
Ce (0.207, 0.663, 0.683)
S (0.479, 0.076, 0.450)
S (0.483, 0.452, 0.466)
Ce (0.732, 0.807, 0.833)
Ce (0.738, 0.831, 0.365)
Ce (0.735, 0.362, 0.804)
Ce (0.235, 0.638, 0.196)
Ce (0.238, 0.169, 0.635)
S (0.845, 0.734, 0.142)
Co (0.887, 0.999, 0.004)
S (0.341, 0.859, 0.873)
S (0.979, 0.924, 0.550)
S (0.582, 0.667, 0.665)
S (0.841, 0.141, 0.127)
S (0.468, 0.474, 0.068)
S (0.983, 0.548, 0.534)
S (0.082, 0.333, 0.335)
Co (0.387, 0.001, 0.996)

## Properties
Its space group is P2_1 (4).

---

Here are the calculated V numbers, same order: 16.13, 23.25 (A^3/atom).
Here are the calculated density numbers, same order: 7.4, 5.0 (g/cm³).
Here are the calculated E_form numbers, same order: -0.90, -1.96 (eV per atom).